P | This record from Materials Project describes a geometry-optimized Li4CoO3F structure. The functional is PBE with a Hubbard U.

Properties
Spin magnetization in μB per atom: 0.000

abc: 5.371 10.745 6.696
angles: 90.00 90.00 94.19
Positions (direct):
F (0.192, 0.096, 0.955)
Li (0.167, 0.420, 0.495)
Li (0.167, 0.920, 0.495)
Li (0.892, 0.792, 0.240)
Co (0.378, 0.689, 0.318)
O (0.208, 0.104, 0.511)
Co (0.378, 0.189, 0.318)
O (0.326, 0.367, 0.748)
Co (0.622, 0.811, 0.818)
O (0.674, 0.633, 0.248)
Li (0.892, 0.292, 0.240)
Li (0.833, 0.580, 0.995)
O (0.326, 0.867, 0.748)
O (0.674, 0.133, 0.248)
Li (0.160, 0.916, 0.995)
Li (0.583, 0.446, 0.240)
Li (0.417, 0.054, 0.740)
Li (0.840, 0.584, 0.495)
O (0.792, 0.896, 0.011)
O (0.792, 0.396, 0.011)
Li (0.160, 0.416, 0.995)
F (0.808, 0.404, 0.455)
O (0.734, 0.663, 0.748)
F (0.192, 0.596, 0.955)
Li (0.108, 0.208, 0.740)
Li (0.833, 0.080, 0.995)
O (0.266, 0.337, 0.248)
O (0.208, 0.604, 0.511)
O (0.734, 0.163, 0.748)
O (0.266, 0.837, 0.248)
Li (0.108, 0.708, 0.740)
F (0.808, 0.904, 0.455)
Li (0.840, 0.084, 0.495)
Li (0.417, 0.554, 0.740)
Li (0.583, 0.946, 0.240)
Co (0.622, 0.311, 0.818)

=====

Q | This record from Materials Project describes a geometry-optimized Li4CoO3F structure. The functional is PBE with a Hubbard U.

Properties
Spin magnetization in μB per atom: 0.444
Space-group type: P1 (1)

abc: 7.759 5.225 5.347
angles: 66.35 109.98 97.09
Positions (direct):
Co (0.758, 0.305, 0.155)
O (0.015, 0.834, 0.853)
O (0.624, 0.460, 0.785)
Li (0.786, 0.726, 0.600)
F (0.379, 0.507, 0.196)
O (0.199, 0.502, 0.616)
Li (0.417, 0.243, 0.905)
O (0.602, 0.012, 0.301)
Li (0.578, 0.770, 0.092)
F (0.997, 0.146, 0.181)
Li (0.000, 0.247, 0.747)
Li (0.006, 0.740, 0.248)
Li (0.573, 0.245, 0.520)
Co (0.206, 0.741, 0.798)
O (0.807, 0.501, 0.381)
O (0.393, 0.984, 0.704)
Li (0.442, 0.754, 0.515)
Li (0.219, 0.284, 0.404)

=====

The data favor P; the next most stable structure lies 0.033 eV/atom above it.